! Ba2Fe2ClF7, relaxed, DFT PBE+U; values from VASP
! Space-group type ... P2_1/m (11)
! DFT formation energy ... -3178.8 meV per atom
! Total energy after the MP2020 corrections ... -74.2 eV/f.u.
&SYSTEM
  ibrav = 0, nat = 24, ntyp = 4
/
ATOMIC_SPECIES
Ba 137.33 Ba.upf
Fe 55.84 Fe.upf
Cl 35.45 Cl.upf
F 19.00 F.upf
ATOMIC_POSITIONS crystal
Ba 0.1654 0.2500 0.4121
Ba 0.1949 0.2500 0.9255
Ba 0.8051 0.7500 0.0745
Ba 0.8346 0.7500 0.5879
Fe 0.3159 0.7500 0.1745
Fe 0.3251 0.7500 0.7339
Fe 0.6749 0.2500 0.2661
Fe 0.6841 0.2500 0.8255
Cl 0.3828 0.7500 0.4698
Cl 0.6172 0.2500 0.5302
F 0.1261 0.5065 0.1609
F 0.1261 0.9935 0.1609
F 0.1348 0.5022 0.6523
F 0.1348 0.9978 0.6523
F 0.2427 0.7500 0.9330
F 0.4950 0.0015 0.1694
F 0.4950 0.4985 0.1694
F 0.5050 0.5015 0.8306
F 0.5050 0.9985 0.8306
F 0.7573 0.2500 0.0670
F 0.8652 0.0022 0.3477
F 0.8652 0.4978 0.3477
F 0.8739 0.0065 0.8391
F 0.8739 0.4935 0.8391
CELL_PARAMETERS angstrom
8.0034 0.0000 0.0000
0.0000 5.8275 0.0000
-2.6384 0.0000 8.7970

=====

! Ba2Mn2ClF7, relaxed, DFT PBE+U; values from VASP
! Space-group type ... P2_1/m (11)
! DFT formation energy ... -3361.7 meV per atom
! Total energy after the MP2020 corrections ... -77.8 eV/f.u.
&SYSTEM
  ibrav = 0, nat = 24, ntyp = 4
/
ATOMIC_SPECIES
Ba 137.33 Ba.upf
Mn 54.94 Mn.upf
Cl 35.45 Cl.upf
F 19.00 F.upf
ATOMIC_POSITIONS crystal
Ba 0.1594 0.2500 0.4105
Ba 0.1900 0.2500 0.9247
Ba 0.8100 0.7500 0.0753
Ba 0.8406 0.7500 0.5895
Mn 0.3166 0.7500 0.1752
Mn 0.3263 0.7500 0.7336
Mn 0.6737 0.2500 0.2664
Mn 0.6834 0.2500 0.8248
Cl 0.3851 0.7500 0.4704
Cl 0.6149 0.2500 0.5296
F 0.1246 0.9997 0.1606
F 0.1246 0.5003 0.1606
F 0.1330 0.0036 0.6522
F 0.1330 0.4964 0.6522
F 0.2396 0.7500 0.9323
F 0.4942 0.0023 0.1673
F 0.4942 0.4977 0.1673
F 0.5058 0.5023 0.8327
F 0.5058 0.9977 0.8327
F 0.7604 0.2500 0.0677
F 0.8670 0.5036 0.3478
F 0.8670 0.9964 0.3478
F 0.8754 0.0003 0.8394
F 0.8754 0.4997 0.8394
CELL_PARAMETERS angstrom
7.9930 0.0000 0.0000
0.0000 6.0077 0.0000
-2.6685 0.0000 8.8028

=====

! Ba2MnNiClF7, relaxed, DFT PBE+U; values from VASP
! Space-group type ... P2_1/m (11)
! DFT formation energy ... -3212.7 meV per atom
! Total energy after the MP2020 corrections ... -72.6 eV/f.u.
&SYSTEM
  ibrav = 0, nat = 24, ntyp = 5
/
ATOMIC_SPECIES
Ba 137.33 Ba.upf
Mn 54.94 Mn.upf
Ni 58.69 Ni.upf
Cl 35.45 Cl.upf
F 19.00 F.upf
ATOMIC_POSITIONS crystal
Ba 0.1660 0.2500 0.4115
Ba 0.1914 0.2500 0.9259
Ba 0.8086 0.7500 0.0741
Ba 0.8340 0.7500 0.5885
Mn 0.3306 0.7500 0.7342
Mn 0.6694 0.2500 0.2658
Ni 0.3148 0.7500 0.1706
Ni 0.6852 0.2500 0.8294
Cl 0.3843 0.7500 0.4594
Cl 0.6157 0.2500 0.5406
F 0.1319 0.5080 0.1612
F 0.1319 0.9920 0.1612
F 0.1341 0.0018 0.6532
F 0.1341 0.4982 0.6532
F 0.2390 0.7500 0.9371
F 0.4916 0.5064 0.1665
F 0.4916 0.9936 0.1665
F 0.5084 0.0064 0.8335
F 0.5084 0.4936 0.8335
F 0.7610 0.2500 0.0629
F 0.8659 0.5018 0.3468
F 0.8659 0.9982 0.3468
F 0.8681 0.0080 0.8388
F 0.8681 0.4920 0.8388
CELL_PARAMETERS angstrom
7.8447 0.0000 0.0000
0.0000 5.9177 0.0000
-2.5129 0.0000 8.7142

=====

! Ba3Fe2Cl2O5, relaxed, DFT PBE+U; values from VASP
! Space-group type ... I2_12_12_1 (24)
! DFT formation energy ... -2429.6 meV per atom
! Total energy after the MP2020 corrections ... -80.3 eV/f.u.
&SYSTEM
  ibrav = 0, nat = 24, ntyp = 4
/
ATOMIC_SPECIES
Ba 137.33 Ba.upf
Fe 55.84 Fe.upf
Cl 35.45 Cl.upf
O 16.00 O.upf
ATOMIC_POSITIONS crystal
Ba 0.1556 0.4056 0.7500
Ba 0.2500 0.8445 0.5945
Ba 0.3444 0.0944 0.2500
Ba 0.5941 0.7500 0.3441
Ba 0.7500 0.6555 0.9055
Ba 0.9059 0.2500 0.1559
Fe 0.5010 0.3099 0.0006
Fe 0.6908 0.1901 0.6911
Fe 0.8092 0.5004 0.4994
Fe 0.9990 0.9996 0.8089
Cl 0.9999 0.0000 0.3858
Cl 0.1142 0.6141 0.1142
Cl 0.3858 0.5000 0.4999
Cl 0.5001 0.8859 0.0001
O 0.9997 0.0000 0.0209
O 0.0209 0.5000 0.4998
O 0.2500 0.1082 0.8582
O 0.4791 0.9789 0.4791
O 0.5003 0.5211 0.0002
O 0.6097 0.3597 0.2500
O 0.6408 0.2500 0.8908
O 0.7500 0.3918 0.6418
O 0.8592 0.7500 0.6092
O 0.8903 0.1403 0.7500
CELL_PARAMETERS angstrom
-5.0614 5.0660 5.0771
5.0614 -5.0660 5.0771
5.0614 5.0660 -5.0771

=====

! Ba10Fe8Pt2Cl2O25, relaxed, DFT PBE+U; values from VASP
! Space-group type ... P-6m2 (187)
! DFT formation energy ... -2185.8 meV per atom
! Total energy after the MP2020 corrections ... -329.2 eV/f.u.
&SYSTEM
  ibrav = 0, nat = 47, ntyp = 5
/
ATOMIC_SPECIES
Ba 137.33 Ba.upf
Fe 55.84 Fe.upf
Pt 195.08 Pt.upf
Cl 35.45 Cl.upf
O 16.00 O.upf
ATOMIC_POSITIONS crystal
Ba 0.0000 0.0000 0.0000
Ba 0.0000 0.0000 0.5000
Ba 0.3333 0.6667 0.1215
Ba 0.3333 0.6667 0.2855
Ba 0.3333 0.6667 0.7145
Ba 0.3333 0.6667 0.8785
Ba 0.6667 0.3333 0.2100
Ba 0.6667 0.3333 0.3782
Ba 0.6667 0.3333 0.6218
Ba 0.6667 0.3333 0.7900
Fe 0.0000 0.0000 0.1426
Fe 0.0000 0.0000 0.3592
Fe 0.0000 0.0000 0.6408
Fe 0.0000 0.0000 0.8574
Fe 0.3333 0.6667 0.4253
Fe 0.3333 0.6667 0.5747
Fe 0.6667 0.3333 0.0731
Fe 0.6667 0.3333 0.9269
Pt 0.0000 0.0000 0.2511
Pt 0.0000 0.0000 0.7489
Cl 0.3333 0.6667 0.0000
Cl 0.6667 0.3333 0.5000
O 0.1530 0.3061 0.2000
O 0.1530 0.3061 0.8000
O 0.1530 0.8470 0.2000
O 0.1530 0.8470 0.8000
O 0.1594 0.3188 0.4062
O 0.1594 0.3188 0.5938
O 0.1594 0.8406 0.4062
O 0.1594 0.8406 0.5938
O 0.3049 0.1524 0.3029
O 0.3049 0.1524 0.6971
O 0.3249 0.1624 0.1005
O 0.3249 0.1624 0.8995
O 0.6667 0.3333 0.0000
O 0.6812 0.8406 0.4062
O 0.6812 0.8406 0.5938
O 0.6939 0.8470 0.2000
O 0.6939 0.8470 0.8000
O 0.8376 0.1624 0.1005
O 0.8376 0.1624 0.8995
O 0.8376 0.6751 0.1005
O 0.8376 0.6751 0.8995
O 0.8476 0.1524 0.3029
O 0.8476 0.1524 0.6971
O 0.8476 0.6951 0.3029
O 0.8476 0.6951 0.6971
CELL_PARAMETERS angstrom
5.9284 0.0000 0.0000
-2.9642 5.1342 0.0000
0.0000 0.0000 25.2187

=====

! Ba4Fe12Si8ClO35, relaxed, DFT PBE+U; values from VASP
! Space-group type ... P1 (1)
! DFT formation energy ... -2529.2 meV per atom
! Total energy after the MP2020 corrections ... -479.5 eV/f.u.
&SYSTEM
  ibrav = 0, nat = 60, ntyp = 5
/
ATOMIC_SPECIES
Ba 137.33 Ba.upf
Fe 55.84 Fe.upf
Si 28.09 Si.upf
Cl 35.45 Cl.upf
O 16.00 O.upf
ATOMIC_POSITIONS crystal
Ba 0.0000 0.0000 0.0000
Ba 0.0200 0.5394 0.8820
Ba 0.5007 0.5004 0.9986
Ba 0.5221 0.0408 0.8748
Fe 0.0109 0.2707 0.4397
Fe 0.1316 0.9106 0.4273
Fe 0.2247 0.1985 0.1564
Fe 0.2781 0.5111 0.4243
Fe 0.2973 0.8437 0.7167
Fe 0.3956 0.1447 0.4408
Fe 0.5082 0.7706 0.4372
Fe 0.6307 0.3774 0.4404
Fe 0.7216 0.6979 0.1562
Fe 0.7652 0.0164 0.4381
Fe 0.7978 0.3434 0.7169
Fe 0.8743 0.6596 0.4230
Si 0.1121 0.5807 0.1675
Si 0.1870 0.2358 0.7060
Si 0.3352 0.8058 0.1670
Si 0.4123 0.4582 0.7077
Si 0.6107 0.0800 0.1677
Si 0.6838 0.7362 0.7073
Si 0.8352 0.3077 0.1659
Si 0.9113 0.9617 0.7082
Cl 0.0791 0.6363 0.5724
O 0.0094 0.2934 0.7740
O 0.0126 0.2488 0.0985
O 0.0669 0.8557 0.7760
O 0.0874 0.5208 0.3289
O 0.1904 0.1450 0.3401
O 0.2031 0.4387 0.0975
O 0.2086 0.2876 0.5443
O 0.2313 0.7107 0.1167
O 0.2576 0.0462 0.7721
O 0.2641 0.9955 0.1018
O 0.2927 0.3286 0.7572
O 0.3139 0.7501 0.3285
O 0.3212 0.6029 0.7739
O 0.3292 0.9019 0.5316
O 0.4480 0.5123 0.5456
O 0.4519 0.3989 0.3387
O 0.4547 0.1855 0.1005
O 0.5074 0.7928 0.7785
O 0.5121 0.7491 0.0981
O 0.5687 0.3546 0.7746
O 0.5823 0.0157 0.3282
O 0.5970 0.1564 0.5264
O 0.6824 0.6310 0.3410
O 0.6960 0.7891 0.5468
O 0.7030 0.9373 0.0987
O 0.7303 0.2098 0.1195
O 0.7566 0.5464 0.7731
O 0.7643 0.4968 0.0977
O 0.7905 0.8330 0.7539
O 0.8153 0.2632 0.3267
O 0.8190 0.1035 0.7780
O 0.8208 0.4002 0.5302
O 0.9331 0.8919 0.3498
O 0.9404 0.0294 0.5477
O 0.9533 0.6838 0.1042
CELL_PARAMETERS angstrom
8.8949 0.0000 0.0000
2.2305 8.6216 0.0000
2.1645 2.9152 10.2042

=====

! K2BaV2ClO7, relaxed, DFT PBE+U; values from VASP
! Space-group type ... P6_3/mmc (194)
! DFT formation energy ... -2387.2 meV per atom
! Total energy after the MP2020 corrections ... -89.8 eV/f.u.
&SYSTEM
  ibrav = 0, nat = 26, ntyp = 5
/
ATOMIC_SPECIES
K 39.10 K.upf
Ba 137.33 Ba.upf
V 50.94 V.upf
Cl 35.45 Cl.upf
O 16.00 O.upf
ATOMIC_POSITIONS crystal
K 0.3333 0.6667 0.0458
K 0.3333 0.6667 0.4542
K 0.6667 0.3333 0.5458
K 0.6667 0.3333 0.9542
Ba 0.3333 0.6667 0.7500
Ba 0.6667 0.3333 0.2500
V 0.0000 0.0000 0.1317
V 0.0000 0.0000 0.3683
V 0.0000 0.0000 0.6317
V 0.0000 0.0000 0.8683
Cl 0.3333 0.6667 0.2500
Cl 0.6667 0.3333 0.7500
O 0.0000 0.0000 0.2500
O 0.0000 0.0000 0.7500
O 0.1589 0.3178 0.5964
O 0.1589 0.3178 0.9036
O 0.1589 0.8411 0.5964
O 0.1589 0.8411 0.9036
O 0.3178 0.1589 0.0964
O 0.3178 0.1589 0.4036
O 0.6822 0.8411 0.5964
O 0.6822 0.8411 0.9036
O 0.8411 0.1589 0.0964
O 0.8411 0.1589 0.4036
O 0.8411 0.6822 0.0964
O 0.8411 0.6822 0.4036
CELL_PARAMETERS angstrom
5.9022 0.0000 0.0000
-2.9511 5.1115 0.0000
0.0000 0.0000 15.4003